[1]
The following is a DFT calculation (GGA+U) of a relaxed structure of ScMo3O8.

a = 10.568 Å, b = 6.084 Å, c = 4.638 Å
α = 90.00°, β = 90.51°, γ = 90.00°
Space group C2 (No. 5)
One atom of each set of equivalent atoms:
Sc 0.000 0.000 0.000 (multiplicity 2)
Mo 0.000 0.501 0.500 (multiplicity 2)
Mo 0.246 0.242 0.512 (multiplicity 4)
O 0.083 0.730 0.728 (multiplicity 4)
O 0.085 0.248 0.729 (multiplicity 4)
O 0.158 0.493 0.273 (multiplicity 4)
O 0.168 0.991 0.262 (multiplicity 4)

- Total energy: -7.5475 eV per atom
- Crystal system: monoclinic

---

[2]
The following is a DFT calculation (GGA+U) of a relaxed structure of ScMo3O8.

a = 4.624 Å, b = 6.064 Å, c = 6.087 Å
α = 119.38°, β = 90.33°, γ = 90.16°
Space group P1 (No. 1)
One atom of each set of equivalent atoms:
Sc 0.000 0.000 0.000 (multiplicity 1)
Mo 0.500 0.000 0.499 (multiplicity 1)
Mo 0.500 0.499 0.999 (multiplicity 1)
Mo 0.500 0.501 0.499 (multiplicity 1)
O 0.264 0.318 0.658 (multiplicity 1)
O 0.265 0.336 0.170 (multiplicity 1)
O 0.267 0.831 0.168 (multiplicity 1)
O 0.268 0.839 0.654 (multiplicity 1)
O 0.731 0.163 0.345 (multiplicity 1)
O 0.734 0.169 0.831 (multiplicity 1)
O 0.735 0.664 0.828 (multiplicity 1)
O 0.736 0.682 0.340 (multiplicity 1)

- Total energy: -7.5699 eV per atom
- Crystal system: triclinic

---

[3]
The following is a DFT calculation (GGA+U) of a relaxed structure of ScMo3O8.

a = 4.552 Å, b = 6.086 Å, c = 6.193 Å
α = 119.22°, β = 90.63°, γ = 90.27°
Space group P1 (No. 1)
One atom of each set of equivalent atoms:
Sc 0.000 0.000 0.000 (multiplicity 1)
Mo 0.492 0.506 0.509 (multiplicity 1)
Mo 0.496 0.502 0.007 (multiplicity 1)
Mo 0.501 0.006 0.503 (multiplicity 1)
O 0.263 0.840 0.659 (multiplicity 1)
O 0.265 0.322 0.669 (multiplicity 1)
O 0.265 0.340 0.178 (multiplicity 1)
O 0.265 0.834 0.175 (multiplicity 1)
O 0.725 0.684 0.346 (multiplicity 1)
O 0.728 0.171 0.836 (multiplicity 1)
O 0.729 0.663 0.834 (multiplicity 1)
O 0.730 0.166 0.353 (multiplicity 1)

- Total energy: -7.5617 eV per atom
- Crystal system: triclinic

---

The lowest total energy belongs to which entry? number 2

---

Which formula does entry 2 have? ScMo3O8

---

Which value of total energy does entry 1 give? -7.5475 eV per atom